1.
The following is a PBE calculation of a relaxed SnBi2Te4 crystal, from the Materials Project database.

Properties
Polymorph energy (0 for the lowest one) ... 0.0 kJ per mole of atoms
Formation energy from the elements ... -0.497 eV per atom
Final energy ... -26.15 eV for the cell shown

Cell lengths 14.3293, 14.3293, 14.3293 Å; angles 17.96, 17.96, 17.96 degrees
Atoms (fractional coordinates):
Sn (0.0000, 0.0000, 0.0000)
Bi (0.5732, 0.5732, 0.5732)
Bi (0.4268, 0.4268, 0.4268)
Te (0.8663, 0.8663, 0.8663)
Te (0.7115, 0.7115, 0.7115)
Te (0.2885, 0.2885, 0.2885)
Te (0.1337, 0.1337, 0.1337)

---

2.
The following is a PBE calculation of a relaxed SnBi2Te4 crystal, from the Materials Project database.

Properties
Polymorph energy (0 for the lowest one) ... 2.9 kJ per mole of atoms
Formation energy from the elements ... -0.466 eV per atom
Final energy ... -129.70 eV for the cell shown

Cell lengths 14.9698, 14.9698, 23.3571 Å; angles 56.58, 56.58, 17.11 degrees
Atoms (fractional coordinates):
Sn (0.2017, 0.2017, 0.5957)
Sn (0.1975, 0.1975, 0.3269)
Sn (0.7967, 0.7967, 0.4026)
Sn (0.8328, 0.8328, 0.1037)
Sn (0.5788, 0.5788, 0.0862)
Bi (0.4103, 0.4103, 0.9126)
Bi (0.1906, 0.1906, 0.8796)
Bi (0.0117, 0.0117, 0.7167)
Bi (0.7982, 0.7982, 0.6834)
Bi (0.6006, 0.6006, 0.8037)
Bi (0.6030, 0.6030, 0.5182)
Bi (0.3932, 0.3932, 0.4845)
Bi (0.9856, 0.9856, 0.2818)
Bi (0.6985, 0.6985, 0.1079)
Bi (0.3944, 0.3944, 0.1995)
Te (0.8253, 0.8253, 0.9729)
Te (0.5983, 0.5983, 0.9340)
Te (0.4241, 0.4241, 0.7738)
Te (0.1940, 0.1940, 0.7402)
Te (0.0087, 0.0087, 0.8574)
Te (0.0182, 0.0182, 0.5777)
Te (0.7820, 0.7820, 0.8212)
Te (0.7916, 0.7916, 0.5428)
Te (0.6092, 0.6092, 0.6571)
Te (0.6145, 0.6145, 0.3818)
Te (0.3837, 0.3837, 0.6236)
Te (0.3919, 0.3919, 0.3434)
Te (0.2068, 0.2068, 0.4587)
Te (0.2279, 0.2279, 0.1726)
Te (0.9778, 0.9778, 0.4248)
Te (0.9862, 0.9862, 0.1467)
Te (0.8052, 0.8052, 0.2623)
Te (0.5747, 0.5747, 0.2233)
Te (0.4173, 0.4173, 0.0529)
Te (0.1691, 0.1691, 0.0299)